A plane-wave DFT calculation with r²SCAN was carried out for LiMnPd2 after structural relaxation.

Values from the calculation:
DFT formation energy = -0.524 eV/atom
Size of the total moment = 18.524 μB per cell

abc: 6.0932 6.0932 6.0932
angles: 90.00 90.00 90.00
Space group Fm-3m (No. 225)
Asymmetric unit:
Li 0.0000 0.0000 0.0000 [4 per cell]
Mn 0.0000 0.0000 0.5000 [4 per cell]
Pd 0.2500 0.2500 0.2500 [8 per cell]